Density functional theory data (GGA+U) for crystalline Na3Ca18FeP14O56 at its relaxed geometry.

abc: 10.4925 10.4968 13.8710
angles: 90.04 112.16 119.86
Atoms (fractional coordinates):
1 Na 0.6350 0.8173 0.4506
2 Na 0.4723 0.5305 0.0236
3 Na 0.6307 0.3204 0.9510
4 Ca 0.8559 0.9188 0.2021
5 Ca 0.2704 0.3462 0.2018
6 Ca 0.2815 0.9374 0.2032
7 Ca 0.4929 0.9377 0.0238
8 Ca 0.0882 0.5535 0.0250
9 Ca 0.2716 0.4286 0.7071
10 Ca 0.2782 0.8425 0.7043
11 Ca 0.8616 0.4352 0.7045
12 Ca 0.9989 0.4997 0.4984
13 Ca 0.1562 0.5633 0.3049
14 Ca 0.7123 0.1491 0.3049
15 Ca 0.7376 0.5894 0.3000
16 Ca 0.7120 0.0613 0.8071
17 Ca 0.7428 0.6501 0.8076
18 Ca 0.1571 0.0973 0.8074
19 Ca 0.4955 0.0535 0.5238
20 Ca 0.0816 0.0285 0.5241
21 Ca 0.4700 0.4415 0.5239
22 Fe 0.9987 0.0002 0.9987
23 P 0.4675 0.7352 0.2013
24 P 0.5957 0.7774 0.9097
25 P 0.0898 0.3133 0.9084
26 P 0.1307 0.8176 0.9082
27 P 0.4272 0.6938 0.5996
28 P 0.8663 0.1724 0.6000
29 P 0.0882 0.2715 0.4023
30 P 0.9067 0.7340 0.6005
31 P 0.1311 0.8167 0.4026
32 P 0.5863 0.3151 0.4027
33 P 0.8657 0.1895 0.0936
34 P 0.9075 0.6777 0.0947
35 P 0.4156 0.2245 0.0929
36 P 0.4670 0.2332 0.7003
37 O 0.6345 0.7476 0.2455
38 O 0.3518 0.6092 0.2416
39 O 0.4980 0.8907 0.2442
40 O 0.3848 0.6971 0.0781
41 O 0.6428 0.8177 0.0293
42 O 0.1949 0.3886 0.0283
43 O 0.5221 0.6086 0.8686
44 O 0.7562 0.8691 0.8906
45 O 0.0006 0.1344 0.8911
46 O 0.1914 0.3582 0.8446
47 O 0.2163 0.8290 0.0285
48 O 0.9554 0.3511 0.8689
49 O 0.4835 0.8343 0.8489
50 O 0.5065 0.6097 0.6638
51 O 0.2636 0.9104 0.8695
52 O 0.0153 0.6492 0.8491
53 O 0.9769 0.1091 0.6391
54 O 0.0222 0.8875 0.8891
55 O 0.7684 0.1581 0.6652
56 O 0.5293 0.8673 0.6401
57 O 0.1943 0.3138 0.5251
58 O 0.2679 0.6315 0.6160
59 O 0.9790 0.3477 0.6156
60 O 0.3927 0.6489 0.4812
61 O 0.9853 0.6366 0.6165
62 O 0.7365 0.0889 0.4818
63 O 0.0553 0.8966 0.6658
64 O 0.9582 0.0994 0.3686
65 O 0.2033 0.3226 0.3470
66 O 0.7732 0.6622 0.6408
67 O 0.2116 0.8802 0.5254
68 O 0.6452 0.3314 0.5256
69 O 0.9959 0.3555 0.3720
70 O 0.2699 0.8588 0.3688
71 O 0.0169 0.6409 0.3720
72 O 0.7317 0.3762 0.3721
73 O 0.8345 0.7453 0.4824
74 O 0.4667 0.1451 0.3480
75 O 0.9716 0.1185 0.0978
76 O 0.7749 0.1073 0.1623
77 O 0.5105 0.4118 0.3693
78 O 0.0266 0.8825 0.3481
79 O 0.9868 0.3615 0.1385
80 O 0.0602 0.6700 0.1617
81 O 0.5088 0.1452 0.1390
82 O 0.7331 0.1516 0.9792
83 O 0.4932 0.3818 0.1627
84 O 0.7862 0.6309 0.1434
85 O 0.9812 0.8540 0.0971
86 O 0.2419 0.1240 0.0970
87 O 0.8302 0.5825 0.9802
88 O 0.3934 0.2356 0.9775
89 O 0.4967 0.1076 0.7409
90 O 0.6328 0.3884 0.7411
91 O 0.3524 0.2444 0.7409
92 O 0.3845 0.1919 0.5760


Density functional theory data (GGA+U) for crystalline Li3VSi6O15 at its relaxed geometry.

energy above the lowest structure with this stoichiometry: 2 meV/atom

abc: 11.0275 11.0275 10.1994
angles: 90.00 90.00 99.94
Atoms (fractional coordinates):
1 Li 0.2357 0.2357 0.0000
2 Li 0.4772 0.0228 0.2500
3 Li 0.0228 0.4772 0.7500
4 Li 0.2643 0.2643 0.5000
5 Li 0.0621 0.9379 0.7976
6 Li 0.5621 0.4379 0.7024
7 Li 0.4379 0.5621 0.2976
8 Li 0.9379 0.0621 0.2024
9 Li 0.7357 0.7357 0.5000
10 Li 0.5228 0.9772 0.7500
11 Li 0.9772 0.5228 0.2500
12 Li 0.7643 0.7643 0.0000
13 V 0.1555 0.3445 0.2500
14 V 0.3445 0.1555 0.7500
15 V 0.8445 0.6555 0.7500
16 V 0.6555 0.8445 0.2500
17 Si 0.0411 0.1891 0.8064
18 Si 0.1891 0.0411 0.1936
19 Si 0.3109 0.4589 0.6936
20 Si 0.4589 0.3109 0.3064
21 Si 0.0174 0.7646 0.4838
22 Si 0.2646 0.5174 0.9838
23 Si 0.7646 0.0174 0.5162
24 Si 0.5174 0.2646 0.0162
25 Si 0.2012 0.5804 0.4544
26 Si 0.7012 0.0804 0.0456
27 Si 0.0804 0.7012 0.9544
28 Si 0.5804 0.2012 0.5456
29 Si 0.4196 0.7988 0.4544
30 Si 0.2988 0.9196 0.9544
31 Si 0.9196 0.2988 0.0456
32 Si 0.7988 0.4196 0.5456
33 Si 0.7354 0.4826 0.0162
34 Si 0.2354 0.9826 0.4838
35 Si 0.4826 0.7354 0.9838
36 Si 0.9826 0.2354 0.5162
37 Si 0.5411 0.6891 0.6936
38 Si 0.6891 0.5411 0.3064
39 Si 0.8109 0.9589 0.8064
40 Si 0.9589 0.8109 0.1936
41 O 0.2817 0.0133 0.0760
42 O 0.0133 0.2817 0.9240
43 O 0.0298 0.2661 0.6701
44 O 0.2661 0.0298 0.3299
45 O 0.1683 0.1416 0.8327
46 O 0.1416 0.1683 0.1673
47 O 0.0972 0.2558 0.4187
48 O 0.2558 0.0972 0.5813
49 O 0.1404 0.5119 0.3263
50 O 0.0119 0.6404 0.8263
51 O 0.6404 0.0119 0.1737
52 O 0.5119 0.1404 0.6737
53 O 0.2442 0.4028 0.0813
54 O 0.4028 0.2442 0.9187
55 O 0.3584 0.3317 0.6673
56 O 0.3317 0.3584 0.3327
57 O 0.4702 0.2339 0.1701
58 O 0.2339 0.4702 0.8299
59 O 0.2183 0.4867 0.5760
60 O 0.4867 0.2183 0.4240
61 O 0.1726 0.6154 0.0156
62 O 0.1154 0.6726 0.5156
63 O 0.6154 0.1726 0.9844
64 O 0.6726 0.1154 0.4844
65 O 0.5932 0.4068 0.0076
66 O 0.3412 0.6588 0.4173
67 O 0.0634 0.9366 0.1949
68 O 0.0932 0.9068 0.4924
69 O 0.1588 0.8412 0.9173
70 O 0.4366 0.5634 0.6949
71 O 0.8412 0.1588 0.0827
72 O 0.4068 0.5932 0.9924
73 O 0.6588 0.3412 0.5827
74 O 0.9366 0.0634 0.8051
75 O 0.5634 0.4366 0.3051
76 O 0.9068 0.0932 0.5076
77 O 0.3274 0.8846 0.5156
78 O 0.8846 0.3274 0.4844
79 O 0.3846 0.8274 0.0156
80 O 0.8274 0.3846 0.9844
81 O 0.5133 0.7817 0.5760
82 O 0.7817 0.5133 0.4240
83 O 0.5298 0.7661 0.8299
84 O 0.7661 0.5298 0.1701
85 O 0.6416 0.6683 0.3327
86 O 0.6683 0.6416 0.6673
87 O 0.5972 0.7558 0.0813
88 O 0.7558 0.5972 0.9187
89 O 0.3596 0.9881 0.8263
90 O 0.4881 0.8596 0.3263
91 O 0.9881 0.3596 0.1737
92 O 0.8596 0.4881 0.6737
93 O 0.7442 0.9028 0.4187
94 O 0.9028 0.7442 0.5813
95 O 0.8584 0.8317 0.8327
96 O 0.8317 0.8584 0.1673
97 O 0.7339 0.9702 0.6701
98 O 0.9702 0.7339 0.3299
99 O 0.7183 0.9867 0.9240
100 O 0.9867 0.7183 0.0760


Density functional theory data (GGA+U) for crystalline Ba2MgNiWO6 at its relaxed geometry.

energy above the lowest structure with this stoichiometry: 96 meV/atom

abc: 7.0939 7.0939 6.4482
angles: 54.40 54.40 51.35
Atoms (fractional coordinates):
1 Ba 0.3201 0.3201 0.3064
2 Ba 0.7008 0.7008 0.7949
3 Mg 0.0858 0.0858 0.1176
4 Ni 0.4741 0.4741 0.5235
5 W 0.9404 0.9404 0.8963
6 O 0.2778 0.7522 0.7284
7 O 0.2883 0.7288 0.2590
8 O 0.7522 0.2778 0.7284
9 O 0.2671 0.2671 0.7689
10 O 0.7288 0.2883 0.2590
11 O 0.7896 0.7896 0.2532


Density functional theory data (GGA+U) for crystalline Li6Mn3Sb3O16 at its relaxed geometry.

abc: 6.0861 6.0861 10.0303
angles: 89.78 89.78 59.41
Atoms (fractional coordinates):
1 Li 0.6689 0.6689 0.5064
2 Li 0.6639 0.6639 0.8742
3 Li 0.9866 0.9866 0.9977
4 Li 0.9933 0.9933 0.5066
5 Li 0.3417 0.3417 0.9943
6 Li 0.3308 0.3308 0.3822
7 Mn 0.8341 0.8341 0.2188
8 Mn 0.6643 0.1687 0.7162
9 Mn 0.1687 0.6643 0.7162
10 Sb 0.8334 0.3385 0.2145
11 Sb 0.3385 0.8334 0.2145
12 Sb 0.1696 0.1696 0.7169
13 O 0.8436 0.3062 0.6120
14 O 0.5140 0.5140 0.3289
15 O 0.6537 0.6537 0.0945
16 O 0.0164 0.0164 0.3277
17 O 0.9950 0.9950 0.8162
18 O 0.3062 0.8436 0.6120
19 O 0.9696 0.5157 0.3204
20 O 0.5157 0.9696 0.3204
21 O 0.1534 0.1534 0.0993
22 O 0.8488 0.8488 0.6174
23 O 0.4909 0.0306 0.8226
24 O 0.0306 0.4909 0.8226
25 O 0.3393 0.3393 0.6089
26 O 0.6958 0.1533 0.1147
27 O 0.4807 0.4807 0.8171
28 O 0.1533 0.6958 0.1147


Density functional theory data (GGA+U) for crystalline Li10CoSi2O10 at its relaxed geometry.

energy above the lowest structure with this stoichiometry: 0 meV/atom

abc: 5.1844 6.1753 15.3426
angles: 101.57 99.13 90.00
Atoms (fractional coordinates):
1 Li 0.7339 0.4903 0.9811
2 Li 0.1085 0.2263 0.8649
3 Li 0.1048 0.6346 0.8660
4 Li 0.2225 0.8663 0.7360
5 Li 0.7557 0.0833 0.7375
6 Li 0.7570 0.6507 0.7378
7 Li 0.0676 0.3281 0.6512
8 Li 0.3943 0.0493 0.6099
9 Li 0.3957 0.5619 0.6100
10 Li 0.6746 0.2695 0.5392
11 Li 0.3225 0.7296 0.4598
12 Li 0.6010 0.4374 0.3889
13 Li 0.6023 0.9513 0.3898
14 Li 0.9273 0.6749 0.3481
15 Li 0.2390 0.3487 0.2611
16 Li 0.2405 0.9161 0.2613
17 Li 0.7760 0.1328 0.2630
18 Li 0.8924 0.7772 0.1336
19 Li 0.8966 0.3606 0.1328
20 Li 0.2645 0.5100 0.0186
21 Co 0.8730 0.9664 0.9300
22 Co 0.1343 0.0347 0.0714
23 Si 0.4901 0.3986 0.7996
24 Si 0.8688 0.7811 0.5622
25 Si 0.1282 0.2185 0.4366
26 Si 0.5085 0.6012 0.1997
27 O 0.3947 0.4495 0.8993
28 O 0.9469 0.9053 0.8147
29 O 0.8136 0.4023 0.8089
30 O 0.3728 0.1541 0.7426
31 O 0.3738 0.5842 0.7416
32 O 0.7795 0.0303 0.6128
33 O 0.7819 0.5825 0.6134
34 O 0.1898 0.7872 0.5732
35 O 0.2778 0.2727 0.5435
36 O 0.7196 0.7272 0.4562
37 O 0.8079 0.2128 0.4259
38 O 0.2180 0.9698 0.3866
39 O 0.2163 0.4173 0.3862
40 O 0.6229 0.4141 0.2574
41 O 0.6255 0.8444 0.2574
42 O 0.1843 0.5974 0.1899
43 O 0.0526 0.0949 0.1854
44 O 0.6046 0.5508 0.0999
45 O 0.9992 0.2508 0.9990
46 O 0.9983 0.7491 0.9988


Density functional theory data (GGA+U) for crystalline Li3Ti3CrO8 at its relaxed geometry.

abc: 10.4905 10.4907 14.8848
angles: 18.97 18.97 32.70
Atoms (fractional coordinates):
1 Li 0.0000 0.5001 0.4999
2 Li 0.5000 0.0001 0.4999
3 Li 0.5000 0.5002 0.4999
4 Ti 0.0000 0.5000 0.0000
5 Ti 0.5000 0.0000 0.9999
6 Ti 0.5000 0.5000 0.0000
7 Cr 0.0000 0.9995 0.0003
8 O 0.0006 0.0007 0.2539
9 O 0.0002 0.5059 0.2562
10 O 0.5061 0.0002 0.2561
11 O 0.9994 0.9995 0.7459
12 O 0.4946 0.4946 0.2677
13 O 0.9999 0.4940 0.7439
14 O 0.4942 0.9999 0.7437
15 O 0.5052 0.5052 0.7326


Density functional theory data (GGA+U) for crystalline MgMnCo5O12 at its relaxed geometry.

energy above the lowest structure with this stoichiometry: 19 meV/atom

abc: 4.9361 4.9724 9.9781
angles: 92.78 97.17 59.64
Atoms (fractional coordinates):
1 Mg 0.7554 0.6506 0.2511
2 Mn 0.0160 0.9980 0.0018
3 Co 0.1586 0.6545 0.5015
4 Co 0.6789 0.6652 0.9896
5 Co 0.3492 0.3312 0.0022
6 Co 0.8291 0.3183 0.5069
7 Co 0.4970 0.9840 0.5014
8 O 0.0317 0.6580 0.1019
9 O 0.3151 0.6615 0.9028
10 O 0.1219 0.3339 0.4007
11 O 0.4766 0.6571 0.3997
12 O 0.5145 0.3118 0.5937
13 O 0.1920 0.9725 0.5943
14 O 0.8540 0.6798 0.6008
15 O 0.7069 0.3436 0.1023
16 O 0.3905 0.9831 0.1022
17 O 0.0027 0.3265 0.9028
18 O 0.6493 0.0148 0.9032
19 O 0.7981 0.9557 0.3911


Density functional theory data (GGA+U) for crystalline Li5Fe7O3F13 at its relaxed geometry.

energy above the lowest structure with this stoichiometry: 60 meV/atom

abc: 6.1708 6.1708 10.8038
angles: 73.65 73.65 58.93
Atoms (fractional coordinates):
1 Li 0.0104 0.0104 0.9881
2 Li 0.1173 0.1173 0.6315
3 Li 0.5988 0.5988 0.1330
4 Li 0.5255 0.5255 0.5076
5 Li 0.5571 0.5571 0.8086
6 Fe 0.3178 0.3178 0.0636
7 Fe 0.0609 0.0609 0.3131
8 Fe 0.5630 0.0636 0.3131
9 Fe 0.0636 0.5630 0.3131
10 Fe 0.6097 0.0262 0.8072
11 Fe 0.0262 0.6097 0.8072
12 Fe 0.8151 0.8151 0.5606
13 O 0.4037 0.4037 0.1998
14 O 0.7244 0.7244 0.4258
15 O 0.9273 0.9273 0.6769
16 F 0.1774 0.1774 0.4335
17 F 0.2024 0.6953 0.4318
18 F 0.6953 0.2024 0.4318
19 F 0.4229 0.9369 0.1876
20 F 0.9369 0.4229 0.1876
21 F 0.2092 0.2092 0.9324
22 F 0.4315 0.4315 0.7060
23 F 0.9506 0.9506 0.1854
24 F 0.6765 0.1872 0.9315
25 F 0.1872 0.6765 0.9315
26 F 0.9225 0.4457 0.7012
27 F 0.4457 0.9225 0.7012
28 F 0.6714 0.6714 0.9394


Respective magnetic moment values: 5.0 2.0 2.0 10.0 3.0 1.0 8.0 28.0 μB/f.u..
Respective energy of formation from the pure elements values: -3207.0 -3025.2 -2083.5 -2048.2 -2427.0 -2896.8 -1388.5 -2444.5 meV per atom.